Run one
# Bi13Pt3I7, relaxed, DFT GGA-PBE
data_Bi13Pt3I7
_space_group_name_H-M_alt 'P -1'
_space_group_IT_number 2
_cell_length_a 9.333
_cell_length_b 9.342
_cell_length_c 21.790
_cell_angle_alpha 90.70
_cell_angle_beta 95.43
_cell_angle_gamma 119.97
loop_
_space_group_symop_operation_xyz
'x,y,z'
'-x,-y,-z'
loop_
_atom_site_label
_atom_site_fract_x
_atom_site_fract_y
_atom_site_fract_z
_atom_site_occupancy
Bi1 0.012 0.458 0.128 1
Bi2 0.014 0.801 0.125 1
Bi3 0.061 0.829 0.280 1
Bi4 0.064 0.490 0.284 1
Bi5 0.234 0.240 0.124 1
Bi6 0.239 0.764 0.504 1
Bi7 0.281 0.269 0.282 1
Bi8 0.351 0.800 0.125 1
Bi9 0.378 0.734 0.720 1
Bi10 0.381 0.393 0.716 1
Bi11 0.404 0.830 0.282 1
Bi12 0.425 0.416 0.872 1
Bi13 0.430 0.760 0.876 1
Pt1 0.183 0.465 0.795 1
Pt2 0.317 0.035 0.204 1
Pt3 0.317 0.534 0.205 1
I1 0.107 0.426 0.575 1
I2 0.115 0.918 0.588 1
I3 0.181 0.966 0.789 1
I4 0.247 0.996 0.990 1
I5 0.250 0.499 0.999 1
I6 0.375 0.588 0.419 1
I7 0.390 0.073 0.425 1
# - Crystal system: triclinic

=====

Run two
# Bi13Pt3I7, relaxed, DFT GGA-PBE
data_Bi13Pt3I7
_space_group_name_H-M_alt 'P -1'
_space_group_IT_number 2
_cell_length_a 9.321
_cell_length_b 16.211
_cell_length_c 22.946
_cell_angle_alpha 103.70
_cell_angle_beta 101.69
_cell_angle_gamma 90.13
loop_
_space_group_symop_operation_xyz
'x,y,z'
'-x,-y,-z'
loop_
_atom_site_label
_atom_site_fract_x
_atom_site_fract_y
_atom_site_fract_z
_atom_site_occupancy
Bi1 0.014 0.188 0.280 1
Bi2 0.017 0.750 0.280 1
Bi3 0.062 0.303 0.875 1
Bi4 0.062 0.863 0.876 1
Bi5 0.106 0.306 0.124 1
Bi6 0.114 0.526 0.127 1
Bi7 0.152 0.420 0.719 1
Bi8 0.155 0.640 0.718 1
Bi9 0.186 0.360 0.281 1
Bi10 0.189 0.579 0.281 1
Bi11 0.231 0.473 0.876 1
Bi12 0.236 0.690 0.872 1
Bi13 0.267 0.027 0.124 1
Bi14 0.267 0.809 0.127 1
Bi15 0.311 0.141 0.720 1
Bi16 0.314 0.920 0.717 1
Bi17 0.342 0.122 0.497 1
Bi18 0.343 0.078 0.280 1
Bi19 0.348 0.859 0.282 1
Bi20 0.359 0.620 0.500 1
Bi21 0.388 0.973 0.872 1
Bi22 0.393 0.194 0.876 1
Bi23 0.435 0.197 0.125 1
Bi24 0.441 0.637 0.125 1
Bi25 0.482 0.312 0.719 1
Bi26 0.486 0.750 0.720 1
Pt1 0.022 0.556 0.795 1
Pt2 0.225 0.193 0.204 1
Pt3 0.230 0.693 0.205 1
Pt4 0.270 0.306 0.796 1
Pt5 0.274 0.806 0.796 1
Pt6 0.479 0.944 0.205 1
I1 0.020 0.055 0.791 1
I2 0.092 0.517 0.423 1
I3 0.100 0.022 0.406 1
I4 0.118 0.122 0.992 1
I5 0.127 0.626 0.000 1
I6 0.157 0.223 0.576 1
I7 0.175 0.728 0.578 1
I8 0.334 0.266 0.424 1
I9 0.347 0.760 0.423 1
I10 0.375 0.875 0.999 1
I11 0.377 0.378 0.008 1
I12 0.405 0.985 0.574 1
I13 0.435 0.498 0.586 1
I14 0.481 0.446 0.210 1
# - Crystal system: triclinic

=====

run two ends up most stable, edging out the next structure by 17 meV per atom.

=====

Run one
# KLaTbBiO6, relaxed, DFT GGA-PBE
data_KLaTbBiO6
_space_group_name_H-M_alt 'P n n n'
_space_group_IT_number 48
_cell_length_a 8.485
_cell_length_b 8.598
_cell_length_c 8.601
_cell_angle_alpha 90.00
_cell_angle_beta 90.00
_cell_angle_gamma 90.00
loop_
_space_group_symop_operation_xyz
'x,y,z'
'-x,-y,-z'
'-x+1/2,-y+1/2,z'
'x+1/2,y+1/2,-z'
'x,-y+1/2,-z+1/2'
'-x,y+1/2,z+1/2'
'-x+1/2,y,-z+1/2'
'x+1/2,-y,z+1/2'
loop_
_atom_site_label
_atom_site_fract_x
_atom_site_fract_y
_atom_site_fract_z
_atom_site_occupancy
K1 0.250 0.250 0.250 1
K2 0.250 0.750 0.750 1
La1 0.250 0.250 0.750 1
La2 0.250 0.750 0.250 1
Tb1 0.000 0.000 0.000 1
Bi1 0.000 0.000 0.500 1
O1 0.032 0.244 0.561 1
O2 0.043 0.011 0.257 1
O3 0.243 0.540 0.975 1
# - Crystal system: orthorhombic

=====

Run two
# KLaTbBiO6, relaxed, DFT GGA-PBE
data_KLaTbBiO6
_space_group_name_H-M_alt 'F -4 3 m'
_space_group_IT_number 216
_space_group_name_Hall 'F -4 2 3'
_cell_length_a 8.604
_cell_length_b 8.604
_cell_length_c 8.604
_cell_angle_alpha 90.00
_cell_angle_beta 90.00
_cell_angle_gamma 90.00
loop_
_atom_site_label
_atom_site_fract_x
_atom_site_fract_y
_atom_site_fract_z
_atom_site_occupancy
K1 0.000 0.000 0.000 1
La1 0.000 0.000 0.500 1
Tb1 0.250 0.250 0.750 1
Bi1 0.250 0.250 0.250 1
O1 0.006 0.250 0.250 1
# - Crystal system: cubic

=====

run one ends up most stable, edging out the next structure by 113 meV per atom.